Record 1
# TlTe

A geometry-optimized TlTe structure (PBE, the Materials Project database).

E: -2.866 eV/atom
calculated formation energy: -0.32 eV/atom
crystal system: tetragonal
space-group type: I4/mcm, No. 140

Cell: 9.8321 9.8321 9.8321 Å, 95.75 95.75 143.10°
Sites, in units of the cell vectors:
Te: 0.2500 0.2500 0.0000
Te: 0.6620 0.8380 0.5000
Te: 0.2500 0.7500 0.5000
Te: 0.1620 0.6620 0.8240
Te: 0.3380 0.1620 0.5000
Te: 0.7500 0.7500 0.0000
Te: 0.8380 0.3380 0.1760
Te: 0.7500 0.2500 0.5000
Tl: 0.5828 0.2760 0.8588
Tl: 0.0828 0.2240 0.3069
Tl: 0.4172 0.7240 0.1412
Tl: 0.7760 0.0828 0.8588
Tl: 0.2760 0.4172 0.6931
Tl: 0.9172 0.7760 0.6931
Tl: 0.7240 0.5828 0.3069
Tl: 0.2240 0.9172 0.1412

***

Record 2
# Pr2GaAg

A geometry-optimized Pr2GaAg structure (PBE, the Materials Project database).

E: -4.253 eV/atom
calculated formation energy: -0.40 eV/atom
crystal system: cubic
space-group type: Fm-3m, No. 225

Cell: 5.3261 5.3261 5.3261 Å, 60.00 60.00 60.00°
Sites, in units of the cell vectors:
Ag: 0.5000 0.5000 0.5000
Pr: 0.2500 0.2500 0.2500
Pr: 0.7500 0.7500 0.7500
Ga: 0.0000 0.0000 0.0000

***

Record 3
# Nb3Ir

A geometry-optimized Nb3Ir structure (PBE, the Materials Project database).

E: -10.188 eV/atom
calculated formation energy: -0.40 eV/atom
crystal system: cubic
space-group type: Pm-3n, No. 223

Cell: 5.1838 5.1838 5.1838 Å, 90.00 90.00 90.00°
Sites, in units of the cell vectors:
Nb: 0.0000 0.5000 0.7500
Nb: 0.0000 0.5000 0.2500
Nb: 0.5000 0.7500 0.0000
Nb: 0.7500 0.0000 0.5000
Nb: 0.5000 0.2500 0.0000
Nb: 0.2500 0.0000 0.5000
Ir: 0.0000 0.0000 0.0000
Ir: 0.5000 0.5000 0.5000

***

Record 4
# NaNb2In2P5SO24

A geometry-optimized NaNb2In2P5SO24 structure (PBE, the Materials Project database).

E: -7.189 eV/atom
calculated formation energy: -2.60 eV/atom
crystal system: triclinic
space-group type: P1, No. 1

Cell: 8.8588 8.8501 22.9983 Å, 89.83 90.11 119.92°
Sites, in units of the cell vectors:
O: 0.6539 0.1410 0.4250
O: 0.5330 0.8385 0.4699
O: 0.5296 0.8395 0.7648
O: 0.1796 0.2170 0.6960
O: 0.3049 0.8368 0.9712
O: 0.3069 0.4688 0.4698
O: 0.8382 0.5292 0.7503
O: 0.8551 0.3040 0.5309
O: 0.1639 0.1999 0.4081
O: 0.6986 0.5302 0.2440
O: 0.1933 0.1806 0.0884
O: 0.4993 0.6437 0.5693
O: 0.1442 0.4931 0.8624
O: 0.8256 0.3008 0.2424
O: 0.5069 0.6511 0.8625
O: 0.1984 0.0335 0.3045
O: 0.6914 0.1650 0.7488
O: 0.0313 0.8369 0.4061
O: 0.8920 0.3732 0.6353
O: 0.4960 0.3596 0.1366
O: 0.8039 0.9667 0.4064
O: 0.4834 0.1065 0.6353
O: 0.5319 0.6952 0.9713
O: 0.5155 0.8800 0.3612
O: 0.1852 0.9733 0.1956
O: 0.4523 0.1433 0.5305
O: 0.8206 0.8113 0.5897
O: 0.0361 0.1988 0.9086
O: 0.9842 0.8064 0.0904
O: 0.9784 0.8089 0.8055
O: 0.1624 0.6917 0.7651
O: 0.4962 0.8637 0.0737
O: 0.6959 0.5458 0.5290
O: 0.4560 0.3026 0.0271
O: 0.8589 0.5122 0.4230
O: 0.3675 0.4882 0.3610
O: 0.8634 0.5026 0.1371
O: 0.7000 0.1531 0.0276
O: 0.8009 0.8372 0.9085
O: 0.1987 0.0147 0.5896
O: 0.3550 0.8600 0.5723
O: 0.0409 0.8187 0.6968
O: 0.8687 0.3608 0.9183
O: 0.6204 0.5114 0.6378
O: 0.4861 0.3438 0.4230
O: 0.8292 0.0228 0.8054
O: 0.8476 0.5462 0.0274
O: 0.6390 0.1335 0.1369
O: 0.5368 0.6813 0.2580
O: 0.3070 0.4691 0.7642
O: 0.0198 0.2082 0.1953
O: 0.1613 0.6957 0.4702
O: 0.7788 0.9627 0.6967
O: 0.1389 0.4969 0.5719
O: 0.9924 0.1874 0.5897
O: 0.4679 0.3042 0.7504
O: 0.1628 0.4679 0.9713
O: 0.3257 0.8552 0.2592
O: 0.8190 0.0098 0.0906
O: 0.1631 0.9642 0.9083
O: 0.7848 0.8073 0.1971
O: 0.9656 0.1659 0.3048
O: 0.4922 0.1313 0.9183
O: 0.3490 0.8557 0.8624
O: 0.1886 0.1690 0.8051
O: 0.3681 0.5038 0.0735
O: 0.1506 0.4680 0.2589
O: 0.1185 0.6347 0.3614
O: 0.8247 0.7900 0.3024
O: 0.1353 0.6332 0.0737
O: 0.4735 0.1769 0.2422
O: 0.6396 0.5082 0.9182
Nb: 0.3340 0.6662 0.8102
Nb: 0.0072 0.0090 0.3594
Nb: 0.3316 0.6657 0.0258
Nb: 0.3395 0.6679 0.5194
Nb: 0.9994 0.0001 0.8544
Nb: 0.6654 0.3260 0.1868
P: 0.2890 0.0023 0.2505
P: 0.6684 0.6266 0.5831
P: 0.0433 0.6653 0.4159
P: 0.3321 0.9499 0.9161
P: 0.9998 0.7107 0.7515
P: 0.6226 0.9575 0.4152
P: 0.6180 0.6685 0.9166
P: 0.9524 0.6224 0.0824
P: 0.0501 0.3820 0.9163
P: 0.3382 0.3823 0.4153
P: 0.9988 0.2874 0.2504
P: 0.3785 0.3312 0.0817
P: 0.6690 0.0440 0.0816
P: 0.7107 0.0026 0.7510
P: 0.2873 0.2871 0.7506
In: 0.6686 0.3380 0.4816
In: 0.0046 0.0033 0.1484
In: 0.9946 0.9942 0.6483
In: 0.3290 0.6675 0.3127
In: 0.6674 0.3341 0.9778
In: 0.6647 0.3390 0.6875
S: 0.9639 0.3362 0.5827
S: 0.7117 0.7078 0.2506
S: 0.3734 0.0374 0.5827
Na: 0.0008 0.0000 0.0047
Na: 0.6664 0.3333 0.8331
Na: 0.6682 0.3330 0.3385

***

Record 5
# SnAsPd6

A geometry-optimized SnAsPd6 structure (PBE, the Materials Project database).

E: -5.308 eV/atom
calculated formation energy: -0.34 eV/atom
crystal system: trigonal
space-group type: R-3m, No. 166

Cell: 7.7623 7.7623 7.7623 Å, 33.77 33.77 33.77°
Sites, in units of the cell vectors:
Pd: 0.6303 0.6303 0.6303
Pd: 0.1185 0.1185 0.1185
Pd: 0.3697 0.3697 0.3697
Pd: 0.2449 0.2449 0.2449
Pd: 0.7551 0.7551 0.7551
Pd: 0.8815 0.8815 0.8815
Sn: 0.5000 0.5000 0.5000
As: 0.0000 0.0000 0.0000

***

Record 6
# CeAlCu2Ni2

A geometry-optimized CeAlCu2Ni2 structure (PBE, the Materials Project database).

E: -5.268 eV/atom
calculated formation energy: -0.36 eV/atom
crystal system: orthorhombic
space-group type: Cmmm, No. 65
energy above the most stable polymorph in this dataset: 0.000 eV/atom

Cell: 4.9449 4.9449 4.1018 Å, 90.00 90.00 118.02°
Sites, in units of the cell vectors:
Ce: 0.0000 0.0000 0.0000
Cu: 0.5000 0.0000 0.5000
Cu: 0.0000 0.5000 0.5000
Ni: 0.3358 0.6642 0.0000
Ni: 0.6642 0.3358 0.0000
Al: 0.5000 0.5000 0.5000

***

Record 7
# CaLu2Ge4O12

A geometry-optimized CaLu2Ge4O12 structure (PBE, the Materials Project database).

E: -7.094 eV/atom
calculated formation energy: -2.85 eV/atom
crystal system: orthorhombic
space-group type: Cmme, No. 67

Cell: 10.0029 10.0029 5.0518 Å, 90.00 90.00 90.14°
Sites, in units of the cell vectors:
O: 0.3297 0.4418 0.7349
O: 0.5582 0.6703 0.7349
O: 0.4418 0.3297 0.2651
O: 0.0582 0.1703 0.2651
O: 0.6219 0.3781 0.8290
O: 0.1770 0.4260 0.2522
O: 0.5740 0.8230 0.2522
O: 0.8781 0.1219 0.8290
O: 0.1301 0.6301 0.8495
O: 0.3781 0.6219 0.1710
O: 0.3230 0.0740 0.2522
O: 0.0740 0.3230 0.7478
O: 0.8230 0.5740 0.7478
O: 0.1219 0.8781 0.1710
O: 0.9260 0.6770 0.2522
O: 0.8297 0.9418 0.2651
O: 0.6703 0.5582 0.2651
O: 0.8699 0.3699 0.1505
O: 0.1703 0.0582 0.7349
O: 0.4260 0.1770 0.7478
O: 0.6301 0.1301 0.1505
O: 0.9418 0.8297 0.7349
O: 0.3699 0.8699 0.8495
O: 0.6770 0.9260 0.7478
Lu: 0.5000 0.5000 0.5000
Lu: 0.2500 0.2500 0.5000
Lu: 0.7500 0.7500 0.5000
Lu: 0.0000 0.0000 0.5000
Ge: 0.0184 0.7506 0.0022
Ge: 0.7494 0.4816 0.9978
Ge: 0.2506 0.5184 0.0022
Ge: 0.7506 0.0184 0.9978
Ge: 0.5184 0.2506 0.9978
Ge: 0.2494 0.9816 0.0022
Ge: 0.9816 0.2494 0.9978
Ge: 0.4816 0.7494 0.0022
Ca: 0.5000 0.0000 0.5000
Ca: 0.0000 0.5000 0.5000

***

Record 8
# CeMg14Zr

A geometry-optimized CeMg14Zr structure (PBE, the Materials Project database).

E: -2.261 eV/atom
calculated formation energy: 0.04 eV/atom
crystal system: orthorhombic
space-group type: Amm2, No. 38
energy above the most stable polymorph in this dataset: 0.000 eV/atom

Cell: 6.5389 6.2339 10.4012 Å, 90.00 90.00 118.47°
Sites, in units of the cell vectors:
Mg: 0.3415 0.1729 0.3807
Mg: 0.3415 0.6687 0.8693
Mg: 0.6622 0.3294 0.6250
Mg: 0.6550 0.8273 0.1250
Mg: 0.1631 0.8316 0.6250
Mg: 0.3415 0.6687 0.3807
Mg: 0.8332 0.6666 0.3841
Mg: 0.1607 0.3304 0.6250
Mg: 0.8438 0.1719 0.3703
Mg: 0.6622 0.8328 0.6250
Mg: 0.8438 0.1719 0.8797
Mg: 0.8332 0.6666 0.8659
Mg: 0.6550 0.3277 0.1250
Mg: 0.3415 0.1729 0.8693
Ce: 0.1524 0.8262 0.1250
Zr: 0.1693 0.3347 0.1250

***

Record 9
# Eu2Be2SiO7

A geometry-optimized Eu2Be2SiO7 structure (PBE, the Materials Project database).

E: -8.489 eV/atom
calculated formation energy: -3.22 eV/atom
crystal system: tetragonal
space-group type: P-42_1m, No. 113

Cell: 7.4472 7.4472 4.9295 Å, 90.00 90.00 90.00°
Sites, in units of the cell vectors:
O: 0.9230 0.1645 0.1908
O: 0.6394 0.8606 0.2853
O: 0.4230 0.3355 0.8092
O: 0.0000 0.5000 0.1752
O: 0.3355 0.5770 0.1908
O: 0.5770 0.6645 0.8092
O: 0.1645 0.0770 0.8092
O: 0.8355 0.9230 0.8092
O: 0.5000 0.0000 0.8248
O: 0.8606 0.3606 0.7147
O: 0.1394 0.6394 0.7147
O: 0.6645 0.4230 0.1908
O: 0.0770 0.8355 0.1908
O: 0.3606 0.1394 0.2853
Be: 0.3638 0.1362 0.9553
Be: 0.8638 0.3638 0.0447
Be: 0.6362 0.8638 0.9553
Be: 0.1362 0.6362 0.0447
Eu: 0.8386 0.6614 0.5037
Eu: 0.3386 0.8386 0.4963
Eu: 0.6614 0.1614 0.4963
Eu: 0.1614 0.3386 0.5037
Si: 0.0000 0.0000 0.0000
Si: 0.5000 0.5000 0.0000

***

Record 10
# Zr2InNi2

A geometry-optimized Zr2InNi2 structure (PBE, the Materials Project database).

E: -6.783 eV/atom
calculated formation energy: -0.50 eV/atom
crystal system: tetragonal
space-group type: P4_2/mnm, No. 136

Cell: 7.2358 7.2358 6.7019 Å, 90.00 90.00 90.00°
Sites, in units of the cell vectors:
Ni: 0.1252 0.8748 0.2336
Ni: 0.6252 0.6252 0.7336
Ni: 0.3748 0.3748 0.2664
Ni: 0.6252 0.6252 0.2664
Ni: 0.8748 0.1252 0.7664
Ni: 0.3748 0.3748 0.7336
Ni: 0.1252 0.8748 0.7664
Ni: 0.8748 0.1252 0.2336
In: 0.0000 0.5000 0.2500
In: 0.5000 0.0000 0.7500
In: 0.5000 0.0000 0.2500
In: 0.0000 0.5000 0.7500
Zr: 0.6623 0.3377 0.0000
Zr: 0.8246 0.8246 0.0000
Zr: 0.8377 0.8377 0.5000
Zr: 0.3246 0.6754 0.5000
Zr: 0.3377 0.6623 0.0000
Zr: 0.1754 0.1754 0.0000
Zr: 0.6754 0.3246 0.5000
Zr: 0.1623 0.1623 0.5000

***

Record 11
# Nb2ReO8

A geometry-optimized Nb2ReO8 structure (PBE, the Materials Project database).

E: -8.516 eV/atom
calculated formation energy: -2.45 eV/atom
crystal system: monoclinic
space-group type: C2/c, No. 15

Cell: 10.5246 10.5246 5.1930 Å, 89.38 89.38 34.03°
Sites, in units of the cell vectors:
O: 0.2439 0.0764 0.9266
O: 0.8058 0.5674 0.8583
O: 0.7654 0.1183 0.4125
O: 0.2346 0.8817 0.5875
O: 0.5640 0.3358 0.9235
O: 0.6642 0.4360 0.5765
O: 0.9236 0.7561 0.5734
O: 0.5674 0.8058 0.3583
O: 0.4326 0.1942 0.6417
O: 0.7561 0.9236 0.0734
O: 0.0764 0.2439 0.4266
O: 0.8817 0.2346 0.0875
O: 0.4360 0.6642 0.0765
O: 0.1942 0.4326 0.1417
O: 0.1183 0.7654 0.9125
O: 0.3358 0.5640 0.4235
Re: 0.3494 0.6506 0.7500
Re: 0.6506 0.3494 0.2500
Nb: 0.3140 0.9492 0.2560
Nb: 0.9492 0.3140 0.7560
Nb: 0.6860 0.0508 0.7440
Nb: 0.0508 0.6860 0.2440

***

Record 12
# BiP4O12

A geometry-optimized BiP4O12 structure (PBE, the Materials Project database).

E: -6.879 eV/atom
calculated formation energy: -2.37 eV/atom
crystal system: monoclinic
space-group type: P2_1/c, No. 14
energy above the most stable polymorph in this dataset: 0.016 eV/atom

Cell: 9.0229 7.5927 16.7164 Å, 68.39 90.00 90.00°
Sites, in units of the cell vectors:
O: 0.3387 0.5671 0.7909
O: 0.7832 0.4506 0.4016
O: 0.1112 0.2640 0.1301
O: 0.3636 0.8995 0.0366
O: 0.6112 0.7360 0.3699
O: 0.6613 0.4329 0.2091
O: 0.3946 0.9147 0.2166
O: 0.6364 0.1005 0.9634
O: 0.5430 0.5344 0.6905
O: 0.7168 0.4506 0.9016
O: 0.2832 0.5494 0.0984
O: 0.8636 0.1005 0.4634
O: 0.1439 0.7984 0.1349
O: 0.0430 0.4656 0.8095
O: 0.5454 0.8125 0.7394
O: 0.7250 0.5776 0.5213
O: 0.2750 0.4224 0.4787
O: 0.8905 0.7516 0.3969
O: 0.3888 0.2640 0.6301
O: 0.6348 0.1946 0.5197
O: 0.1348 0.8054 0.9803
O: 0.1364 0.8995 0.5366
O: 0.4546 0.1875 0.2606
O: 0.6353 0.1040 0.1602
O: 0.2168 0.5494 0.5984
O: 0.8647 0.1040 0.6602
O: 0.1095 0.2484 0.6031
O: 0.7750 0.5776 0.0213
O: 0.1353 0.8960 0.3398
O: 0.6054 0.0853 0.7834
O: 0.4570 0.4656 0.3095
O: 0.6439 0.2016 0.3651
O: 0.8946 0.0853 0.2834
O: 0.8387 0.4329 0.7091
O: 0.6095 0.7516 0.8969
O: 0.3561 0.7984 0.6349
O: 0.9546 0.8125 0.2394
O: 0.8888 0.7360 0.8699
O: 0.1054 0.9147 0.7166
O: 0.0454 0.1875 0.7606
O: 0.3905 0.2484 0.1031
O: 0.8652 0.1946 0.0197
O: 0.1613 0.5671 0.2909
O: 0.9570 0.5344 0.1905
O: 0.3652 0.8054 0.4803
O: 0.2250 0.4224 0.9787
O: 0.3647 0.8960 0.8398
O: 0.8561 0.2016 0.8651
P: 0.7680 0.2332 0.9414
P: 0.2680 0.7668 0.5586
P: 0.7388 0.6356 0.4254
P: 0.0542 0.6588 0.2183
P: 0.2388 0.3644 0.0746
P: 0.7612 0.6356 0.9254
P: 0.5542 0.3412 0.2817
P: 0.4756 0.1009 0.1853
P: 0.2320 0.7668 0.0586
P: 0.5244 0.8991 0.8147
P: 0.2612 0.3644 0.5746
P: 0.4458 0.6588 0.7183
P: 0.9756 0.8991 0.3147
P: 0.9458 0.3412 0.7817
P: 0.0244 0.1009 0.6853
P: 0.7320 0.2332 0.4414
Bi: 0.8414 0.3111 0.1454
Bi: 0.1586 0.6889 0.8546
Bi: 0.3414 0.6889 0.3546
Bi: 0.6586 0.3111 0.6454